# 1
Below is a relaxed CdS crystal, with properties calculated at the PBE level.

a b c (Å): 4.256 4.256 5.921
angles (deg): 90.00 90.00 120.00
Atoms (fractional coordinates):
1 Cd 0.000 0.000 0.000
2 S 0.667 0.333 0.972

Calculated values
energy with MP2020 corrections: -3.16 eV per atom
ΔH_f (0 K): -14.56 kcal/mol of atoms
size of the total moment: 0.000 μB/cell
raw total energy: -2.91 eV/atom
symmetry: P3m1
piezoelectric modulus e_max: 0.57 C/m2

# 2
Below is a relaxed Cd2SeS crystal, with properties calculated at the PBE level.

a b c (Å): 4.298 4.298 7.008
angles (deg): 90.00 90.00 120.00
Atoms (fractional coordinates):
1 Cd 0.000 0.000 0.000
2 Cd 0.333 0.667 0.519
3 Se 0.333 0.667 0.136
4 S 0.000 0.000 0.632

Calculated values
energy with MP2020 corrections: -3.11 eV per atom
ΔH_f (0 K): -17.14 kcal/mol of atoms
size of the total moment: 0.000 μB/cell
raw total energy: -2.99 eV/atom
symmetry: P3m1

# 3
Below is a relaxed Cd4SiSe3S3 crystal, with properties calculated at the PBE level.

a b c (Å): 7.351 7.351 12.856
angles (deg): 106.85 106.85 59.70
Atoms (fractional coordinates):
1 Cd 0.071 0.929 0.500
2 Cd 0.251 0.452 0.005
3 Cd 0.441 0.836 0.851
4 Cd 0.452 0.251 0.505
5 Cd 0.701 0.942 0.195
6 Cd 0.836 0.441 0.351
7 Cd 0.929 0.071 0.000
8 Cd 0.942 0.701 0.695
9 Si 0.311 0.836 0.257
10 Si 0.836 0.311 0.757
11 Se 0.127 0.642 0.206
12 Se 0.132 0.164 0.207
13 Se 0.164 0.132 0.707
14 Se 0.428 0.867 0.444
15 Se 0.642 0.127 0.706
16 Se 0.867 0.428 0.944
17 S 0.078 0.576 0.510
18 S 0.181 0.725 0.887
19 S 0.576 0.078 0.010
20 S 0.593 0.646 0.183
21 S 0.646 0.593 0.683
22 S 0.725 0.181 0.387

Calculated values
energy with MP2020 corrections: -3.62 eV per atom
ΔH_f (0 K): -16.29 kcal/mol of atoms
size of the total moment: 0.004 μB/cell
raw total energy: -3.48 eV/atom
symmetry: Cc

# 4
Below is a relaxed Zn4CdSe4S crystal, with properties calculated at the PBE level.

a b c (Å): 10.792 10.792 10.792
angles (deg): 158.15 38.36 148.87
Atoms (fractional coordinates):
1 Zn 0.099 0.000 0.099
2 Zn 0.305 0.007 0.299
3 Zn 0.708 0.007 0.701
4 Zn 0.901 0.000 0.901
5 Cd 0.518 0.018 0.500
6 Se 0.140 0.745 0.395
7 Se 0.349 0.745 0.605
8 Se 0.554 0.753 0.801
9 Se 0.952 0.753 0.199
10 S 0.787 0.787 0.000

Calculated values
energy with MP2020 corrections: -3.16 eV per atom
ΔH_f (0 K): -17.24 kcal/mol of atoms
size of the total moment: 0.002 μB/cell
raw total energy: -3.11 eV/atom
symmetry: Imm2

# 5
Below is a relaxed Sm6CdSi2S14 crystal, with properties calculated at the PBE level.

a b c (Å): 10.177 10.177 5.681
angles (deg): 90.00 90.00 120.00
Atoms (fractional coordinates):
1 Sm 0.024 0.456 0.000
2 Sm 0.309 0.210 0.498
3 Sm 0.432 0.976 0.000
4 Sm 0.544 0.568 0.000
5 Sm 0.790 0.098 0.498
6 Sm 0.902 0.691 0.498
7 Cd 0.667 0.333 0.740
8 Si 0.000 0.000 0.084
9 Si 0.333 0.667 0.587
10 S 0.000 0.000 0.714
11 S 0.076 0.221 0.233
12 S 0.145 0.924 0.233
13 S 0.188 0.743 0.735
14 S 0.257 0.446 0.735
15 S 0.333 0.667 0.216
16 S 0.409 0.245 0.983
17 S 0.496 0.076 0.491
18 S 0.554 0.812 0.735
19 S 0.580 0.504 0.491
20 S 0.755 0.164 0.983
21 S 0.779 0.855 0.233
22 S 0.836 0.591 0.983
23 S 0.924 0.420 0.491

Calculated values
energy with MP2020 corrections: -6.15 eV per atom
ΔH_f (0 K): -43.68 kcal/mol of atoms
size of the total moment: 0.004 μB/cell
raw total energy: -5.85 eV/atom
symmetry: P3

# 6
Below is a relaxed Sm2CdS4 crystal, with properties calculated at the PBE level.

a b c (Å): 7.390 7.390 7.390
angles (deg): 110.61 110.61 107.21
Atoms (fractional coordinates):
1 Sm 0.014 0.625 0.889
2 Sm 0.375 0.264 0.389
3 Sm 0.736 0.125 0.111
4 Sm 0.875 0.986 0.611
5 Cd 0.250 0.750 0.500
6 Cd 0.500 0.500 0.000
7 S 0.008 0.883 0.263
8 S 0.117 0.379 0.125
9 S 0.129 0.367 0.625
10 S 0.255 0.992 0.875
11 S 0.495 0.871 0.237
12 S 0.621 0.745 0.737
13 S 0.633 0.258 0.763
14 S 0.742 0.505 0.375

Calculated values
energy with MP2020 corrections: -5.69 eV per atom
ΔH_f (0 K): -42.61 kcal/mol of atoms
size of the total moment: 0.001 μB/cell
raw total energy: -5.40 eV/atom
symmetry: I-42d

# 7
Below is a relaxed SrCd4S5 crystal, with properties calculated at the PBE level.

a b c (Å): 16.234 16.234 16.234
angles (deg): 14.12 14.12 14.12
Atoms (fractional coordinates):
1 Sr 0.000 0.000 0.000
2 Cd 0.199 0.199 0.199
3 Cd 0.403 0.403 0.403
4 Cd 0.597 0.597 0.597
5 Cd 0.801 0.801 0.801
6 S 0.102 0.102 0.102
7 S 0.295 0.295 0.295
8 S 0.500 0.500 0.500
9 S 0.705 0.705 0.705
10 S 0.898 0.898 0.898

Calculated values
energy with MP2020 corrections: -3.65 eV per atom
ΔH_f (0 K): -24.06 kcal/mol of atoms
size of the total moment: 0.004 μB/cell
raw total energy: -3.40 eV/atom
symmetry: R-3m

# 8
Below is a relaxed SrCd3S4 crystal, with properties calculated at the PBE level.

a b c (Å): 13.097 13.097 13.097
angles (deg): 17.64 17.64 17.64
Atoms (fractional coordinates):
1 Sr 0.000 0.000 0.000
2 Cd 0.247 0.247 0.247
3 Cd 0.500 0.500 0.500
4 Cd 0.753 0.753 0.753
5 S 0.127 0.127 0.127
6 S 0.381 0.381 0.381
7 S 0.619 0.619 0.619
8 S 0.873 0.873 0.873

Calculated values
energy with MP2020 corrections: -3.76 eV per atom
ΔH_f (0 K): -26.16 kcal/mol of atoms
size of the total moment: 0.004 μB/cell
raw total energy: -3.51 eV/atom
symmetry: R-3m

# 9
Below is a relaxed Tb6CdS10 crystal, with properties calculated at the PBE level.

a b c (Å): 7.233 7.267 29.930
angles (deg): 94.40 94.84 108.80
Atoms (fractional coordinates):
1 Tb 0.000 0.000 0.000
2 Tb 0.000 0.214 0.243
3 Tb 0.023 0.633 0.426
4 Tb 0.028 0.766 0.297
5 Tb 0.068 0.559 0.147
6 Tb 0.075 0.188 0.524
7 Tb 0.199 0.190 0.397
8 Tb 0.200 0.440 0.643
9 Tb 0.219 0.954 0.698
10 Tb 0.387 0.391 0.799
11 Tb 0.409 0.639 0.048
12 Tb 0.424 0.141 0.107
13 Tb 0.457 0.957 0.944
14 Tb 0.475 0.583 0.321
15 Tb 0.582 0.836 0.452
16 Tb 0.584 0.595 0.200
17 Tb 0.609 0.212 0.620
18 Tb 0.618 0.355 0.498
19 Tb 0.663 0.158 0.342
20 Tb 0.799 0.777 0.594
21 Tb 0.802 0.024 0.843
22 Tb 0.816 0.431 0.022
23 Tb 0.827 0.553 0.899
24 Tb 0.858 0.368 0.743
25 Cd 0.226 0.840 0.821
26 Cd 0.270 0.385 0.921
27 Cd 0.671 0.790 0.723
28 Cd 0.870 0.991 0.125
29 S 0.047 0.423 0.347
30 S 0.048 0.402 0.848
31 S 0.067 0.063 0.773
32 S 0.075 0.925 0.898
33 S 0.081 0.827 0.073
34 S 0.104 0.335 0.068
35 S 0.158 0.658 0.974
36 S 0.180 0.045 0.602
37 S 0.235 0.617 0.747
38 S 0.242 0.597 0.246
39 S 0.254 0.276 0.173
40 S 0.284 0.154 0.304
41 S 0.293 0.022 0.470
42 S 0.295 0.503 0.471
43 S 0.362 0.858 0.372
44 S 0.380 0.250 0.995
45 S 0.442 0.799 0.140
46 S 0.455 0.448 0.573
47 S 0.468 0.330 0.698
48 S 0.469 0.819 0.650
49 S 0.498 0.733 0.871
50 S 0.499 0.237 0.874
51 S 0.568 0.070 0.772
52 S 0.586 0.442 0.399
53 S 0.650 0.024 0.045
54 S 0.661 0.017 0.542
55 S 0.669 0.512 0.098
56 S 0.674 0.677 0.974
57 S 0.701 0.909 0.273
58 S 0.709 0.432 0.274
59 S 0.763 0.258 0.172
60 S 0.763 0.638 0.797
61 S 0.835 0.208 0.945
62 S 0.850 0.213 0.445
63 S 0.862 0.861 0.374
64 S 0.863 0.736 0.499
65 S 0.891 0.623 0.671
66 S 0.908 0.140 0.671
67 S 0.939 0.454 0.572
68 S 0.966 0.832 0.199

Calculated values
energy with MP2020 corrections: -6.28 eV per atom
ΔH_f (0 K): -49.68 kcal/mol of atoms
size of the total moment: 0.014 μB/cell
raw total energy: -5.98 eV/atom
symmetry: P1

# 10
Below is a relaxed Cd5TeS4 crystal, with properties calculated at the PBE level.

a b c (Å): 4.299 4.299 35.083
angles (deg): 90.04 90.04 59.85
Atoms (fractional coordinates):
1 Cd 0.000 0.000 0.000
2 Cd 0.000 0.000 0.190
3 Cd 0.000 0.000 0.384
4 Cd 0.000 0.000 0.576
5 Cd 0.667 0.667 0.094
6 Cd 0.667 0.667 0.286
7 Cd 0.667 0.667 0.481
8 Cd 0.667 0.667 0.670
9 Cd 0.667 0.667 0.883
10 Cd 0.999 0.999 0.788
11 Te 0.667 0.667 0.752
12 Te 0.667 0.667 0.964
13 S 0.000 0.000 0.072
14 S 0.000 0.000 0.263
15 S 0.000 0.000 0.458
16 S 0.000 0.000 0.649
17 S 0.000 0.000 0.861
18 S 0.667 0.667 0.167
19 S 0.667 0.667 0.361
20 S 0.667 0.667 0.554

Calculated values
energy with MP2020 corrections: -3.20 eV per atom
ΔH_f (0 K): -17.71 kcal/mol of atoms
size of the total moment: 0.000 μB/cell
raw total energy: -3.00 eV/atom
symmetry: Cm

# 11
Below is a relaxed Cd2TeS crystal, with properties calculated at the PBE level.

a b c (Å): 4.442 4.442 7.270
angles (deg): 90.00 90.00 120.00
Atoms (fractional coordinates):
1 Cd 0.000 0.000 0.000
2 Cd 0.333 0.667 0.551
3 Te 0.333 0.667 0.156
4 S 0.000 0.000 0.647

Calculated values
energy with MP2020 corrections: -2.90 eV per atom
ΔH_f (0 K): -14.28 kcal/mol of atoms
size of the total moment: 0.000 μB/cell
raw total energy: -2.77 eV/atom
symmetry: P3m1

# 12
Below is a relaxed Cd5TeS4 crystal, with properties calculated at the PBE level.

a b c (Å): 15.387 15.387 15.387
angles (deg): 163.93 163.93 22.81
Atoms (fractional coordinates):
1 Cd 0.000 0.000 0.000
2 Cd 0.191 0.191 0.000
3 Cd 0.404 0.404 0.000
4 Cd 0.596 0.596 0.000
5 Cd 0.809 0.809 0.000
6 Te 0.750 0.250 0.500
7 S 0.143 0.643 0.500
8 S 0.357 0.857 0.500
9 S 0.548 0.048 0.500
10 S 0.952 0.452 0.500

Calculated values
energy with MP2020 corrections: -3.20 eV per atom
ΔH_f (0 K): -17.74 kcal/mol of atoms
size of the total moment: 0.003 μB/cell
raw total energy: -3.00 eV/atom
symmetry: I-4m2

# 13
Below is a relaxed TlCdS2 crystal, with properties calculated at the PBE level.

a b c (Å): 3.886 3.886 7.075
angles (deg): 90.00 90.00 120.00
Atoms (fractional coordinates):
1 Tl 0.000 0.000 0.000
2 Cd 0.333 0.667 0.500
3 S 0.667 0.333 0.272
4 S 0.667 0.333 0.728

Calculated values
energy with MP2020 corrections: -3.38 eV per atom
ΔH_f (0 K): -11.26 kcal/mol of atoms
size of the total moment: 0.001 μB/cell
raw total energy: -3.13 eV/atom
distance to the lowest polymorph of the same formula: 0.0391 eV per atom
symmetry: P-6m2

# 14
Below is a relaxed TlCdS2 crystal, with properties calculated at the PBE level.

a b c (Å): 3.944 3.944 6.958
angles (deg): 90.00 90.00 120.00
Atoms (fractional coordinates):
1 Tl 0.000 0.000 0.000
2 Cd 0.000 0.000 0.500
3 S 0.333 0.667 0.722
4 S 0.667 0.333 0.278

Calculated values
energy with MP2020 corrections: -3.42 eV per atom
ΔH_f (0 K): -12.16 kcal/mol of atoms
size of the total moment: 0.001 μB/cell
raw total energy: -3.17 eV/atom
distance to the lowest polymorph of the same formula: 0.0000 eV per atom
symmetry: P-3m1

# 15
Below is a relaxed Tm4CdS7 crystal, with properties calculated at the PBE level.

a b c (Å): 6.582 6.582 11.485
angles (deg): 104.26 104.26 33.44
Atoms (fractional coordinates):
1 Tm 0.000 0.000 0.000
2 Tm 0.387 0.387 0.607
3 Tm 0.579 0.579 0.374
4 Tm 0.694 0.694 0.804
5 Cd 0.809 0.809 0.222
6 S 0.035 0.035 0.750
7 S 0.193 0.193 0.305
8 S 0.353 0.353 0.851
9 S 0.438 0.438 0.153
10 S 0.654 0.654 0.018
11 S 0.734 0.734 0.587
12 S 0.954 0.954 0.450

Calculated values
energy with MP2020 corrections: -6.05 eV per atom
ΔH_f (0 K): -47.68 kcal/mol of atoms
size of the total moment: 0.000 μB/cell
raw total energy: -5.76 eV/atom
symmetry: Cm

# 16
Below is a relaxed Y4CdS7 crystal, with properties calculated at the PBE level.

a b c (Å): 6.660 6.660 11.620
angles (deg): 104.33 104.33 33.60
Atoms (fractional coordinates):
1 Y 0.000 0.000 0.000
2 Y 0.386 0.386 0.604
3 Y 0.578 0.578 0.372
4 Y 0.693 0.693 0.803
5 Cd 0.808 0.808 0.221
6 S 0.033 0.033 0.749
7 S 0.193 0.193 0.302
8 S 0.353 0.353 0.850
9 S 0.435 0.435 0.152
10 S 0.654 0.654 0.018
11 S 0.732 0.732 0.586
12 S 0.952 0.952 0.447

Calculated values
energy with MP2020 corrections: -6.73 eV per atom
ΔH_f (0 K): -47.97 kcal/mol of atoms
size of the total moment: 0.000 μB/cell
raw total energy: -6.43 eV/atom
symmetry: Cm

# 17
Below is a relaxed ZnCd3S4 crystal, with properties calculated at the PBE level.

a b c (Å): 5.813 5.813 5.813
angles (deg): 90.00 90.00 90.00
Atoms (fractional coordinates):
1 Zn 0.000 0.000 0.000
2 Cd 0.000 0.500 0.500
3 Cd 0.500 0.000 0.500
4 Cd 0.500 0.500 0.000
5 S 0.237 0.237 0.237
6 S 0.237 0.763 0.763
7 S 0.763 0.237 0.763
8 S 0.763 0.763 0.237

Calculated values
energy with MP2020 corrections: -3.49 eV per atom
ΔH_f (0 K): -21.15 kcal/mol of atoms
raw total energy: -3.24 eV/atom
symmetry: P-43m

# 18
Below is a relaxed ZnCdS2 crystal, with properties calculated at the PBE level.

a b c (Å): 4.011 4.011 6.631
angles (deg): 90.00 90.00 120.00
Atoms (fractional coordinates):
1 Zn 0.000 0.000 0.000
2 Cd 0.333 0.667 0.506
3 S 0.000 0.000 0.355
4 S 0.333 0.667 0.892

Calculated values
energy with MP2020 corrections: -3.55 eV per atom
ΔH_f (0 K): -21.67 kcal/mol of atoms
size of the total moment: 0.001 μB/cell
raw total energy: -3.30 eV/atom
symmetry: P3m1

# 19
Below is a relaxed ZnCdS2 crystal, with properties calculated at the PBE level.

a b c (Å): 4.007 4.007 5.747
angles (deg): 90.00 90.00 90.00
Atoms (fractional coordinates):
1 Zn 0.000 0.000 0.000
2 Cd 0.500 0.500 0.500
3 S 0.000 0.500 0.224
4 S 0.500 0.000 0.776

Calculated values
energy with MP2020 corrections: -3.57 eV per atom
ΔH_f (0 K): -22.04 kcal/mol of atoms
raw total energy: -3.32 eV/atom
symmetry: P-4m2
piezoelectric modulus e_max: 0.15 C/m2

# 20
Below is a relaxed CdSb crystal, with properties calculated at the PBE level.

a b c (Å): 6.600 8.427 8.748
angles (deg): 90.00 90.00 90.00
Atoms (fractional coordinates):
1 Cd 0.047 0.121 0.133
2 Cd 0.047 0.379 0.633
3 Cd 0.453 0.621 0.133
4 Cd 0.453 0.879 0.633
5 Cd 0.547 0.121 0.367
6 Cd 0.547 0.379 0.867
7 Cd 0.953 0.621 0.367
8 Cd 0.953 0.879 0.867
9 Sb 0.139 0.573 0.896
10 Sb 0.139 0.927 0.396
11 Sb 0.361 0.073 0.896
12 Sb 0.361 0.427 0.396
13 Sb 0.639 0.573 0.604
14 Sb 0.639 0.927 0.104
15 Sb 0.861 0.073 0.604
16 Sb 0.861 0.427 0.104

Calculated values
energy with MP2020 corrections: -2.66 eV per atom
ΔH_f (0 K): -3.08 kcal/mol of atoms
raw total energy: -2.56 eV/atom
distance to the lowest polymorph of the same formula: 0.0000 eV per atom
symmetry: Pbca